# 1
Density functional theory data (r²SCAN) for TiPCl9 after structural relaxation.

## Properties
As for the uncorrected energy: -8.210 eV/atom. The energy of formation comes out at -114 kJ per mole of atoms. Its space group is No. 2.

The structure in POSCAR format:
```
TiPCl9
1.0
7.010 -0.032 0.060
-0.869 8.970 0.010
-1.089 -1.986 9.257
Cl Ti P
18 2 2
Cartesian
5.821 0.672 5.468
-0.769 6.280 3.859
4.157 7.945 2.239
2.286 0.601 4.112
1.877 4.722 2.075
5.227 5.200 1.093
3.175 2.230 7.252
3.271 1.855 1.251
1.781 5.098 8.076
4.908 -0.783 8.129
5.105 4.881 7.035
-0.175 1.752 8.234
0.144 7.735 1.197
1.003 3.541 5.109
0.895 -0.992 7.088
4.049 3.411 4.218
2.766 6.351 5.214
-0.053 2.071 2.292
2.029 2.607 3.013
3.023 4.345 6.314
-0.645 0.193 7.193
5.697 6.759 2.134
```

=====

# 2
Density functional theory data (r²SCAN) for Ca2SiSe4 after structural relaxation.

## Properties
As for the uncorrected energy: -12.990 eV/atom. The energy of formation comes out at -149 kJ per mole of atoms. Its space group is No. 62.

The structure in POSCAR format:
```
Ca2SiSe4
1.0
6.547 0.000 0.000
0.000 8.563 0.000
0.000 0.000 14.239
Ca Se Si
8 16 4
Cartesian
0.000 0.000 0.000
0.000 4.282 0.000
3.155 6.423 3.249
3.274 0.000 7.119
3.392 2.141 10.990
6.428 2.141 3.871
3.274 4.282 7.119
0.119 6.423 10.368
1.617 6.423 5.796
1.720 3.939 2.394
4.891 2.141 1.324
4.994 8.221 4.725
4.827 8.221 11.844
1.789 2.141 13.426
1.484 2.141 6.307
1.553 0.342 9.514
1.656 6.423 12.915
4.994 4.624 4.725
4.827 4.624 11.844
1.553 3.939 9.514
1.720 0.342 2.394
4.930 2.141 8.443
4.758 6.423 0.813
5.063 6.423 7.932
3.914 6.423 12.924
5.907 6.423 5.804
2.633 2.141 1.315
0.640 2.141 8.434
```

=====

# 3
Density functional theory data (r²SCAN) for LiSbF4 after structural relaxation.

## Properties
As for the uncorrected energy: -9.497 eV/atom. The energy of formation comes out at -263 kJ per mole of atoms. Its space group is No. 198.

The structure in POSCAR format:
```
LiSbF4
1.0
6.798 0.000 0.000
0.000 6.798 0.000
0.000 0.000 6.798
Li F Sb
4 16 4
Cartesian
1.126 5.673 2.274
2.274 1.126 5.673
4.525 4.525 4.525
5.673 2.274 1.126
2.563 1.968 0.472
4.607 1.208 2.191
6.326 5.962 1.431
3.872 0.836 4.830
2.191 4.607 1.208
1.208 2.191 4.607
1.968 0.472 2.563
4.830 3.872 0.836
4.235 5.367 2.927
0.836 4.830 3.872
5.962 1.431 6.326
1.431 6.326 5.962
5.367 2.927 4.235
0.472 2.563 1.968
5.590 5.590 5.590
2.927 4.235 5.367
1.005 4.404 5.793
4.404 5.793 1.005
5.793 1.005 4.404
2.394 2.394 2.394
```

=====

# 4
Density functional theory data (r²SCAN) for Cu3SbF12 after structural relaxation.

## Properties
As for the uncorrected energy: -7.906 eV/atom. The energy of formation comes out at -185 kJ per mole of atoms. Its space group is No. 229.

The structure in POSCAR format:
```
Cu3SbF12
1.0
6.323 0.000 -2.236
-3.162 5.476 -2.236
0.000 0.000 6.707
F Sb Cu
12 1 3
Cartesian
1.537 0.000 1.087
3.162 2.738 -1.118
2.371 1.369 3.353
3.952 1.369 1.118
-2.393 4.145 3.384
2.393 4.145 -3.384
0.790 4.107 -1.118
0.768 1.331 -1.087
0.000 2.738 3.353
-0.768 1.331 1.087
4.786 0.000 3.384
-0.790 4.107 1.118
0.000 0.000 0.000
3.162 0.000 2.236
-1.581 2.738 2.236
1.581 2.738 -2.236
```

=====

# 5
Density functional theory data (r²SCAN) for SrLaI4 after structural relaxation.

## Properties
As for the uncorrected energy: -25.647 eV/atom. The energy of formation comes out at -173 kJ per mole of atoms. Its space group is No. 15.

The structure in POSCAR format:
```
SrLaI4
1.0
0.286 -8.059 -4.261
4.116 6.457 -4.955
7.203 -1.950 -1.014
I La Sr
8 2 2
Cartesian
10.541 1.902 -6.888
8.614 -1.657 -7.191
1.062 -5.454 -3.342
7.133 2.926 -4.297
2.991 -1.895 -3.038
4.540 -2.473 -6.598
7.065 -1.078 -3.631
4.473 -6.478 -5.933
9.514 4.979 -5.715
2.091 -8.531 -4.515
7.086 -4.223 -5.275
4.519 0.672 -4.955
```

=====

# 6
Density functional theory data (r²SCAN) for RbCr5S8 after structural relaxation.

## Properties
As for the uncorrected energy: -12.093 eV/atom. The energy of formation comes out at -108 kJ per mole of atoms. Its space group is No. 12.

The structure in POSCAR format:
```
RbCr5S8
1.0
-0.538 -2.491 -2.399
8.429 -2.343 0.542
-3.974 -3.770 7.359
Rb S Cr
1 8 5
Cartesian
3.945 -2.417 -0.928
-2.352 -5.799 3.996
1.273 -5.742 3.124
4.620 -5.851 2.486
6.269 -2.805 1.506
-0.703 -2.753 3.016
3.590 -6.240 5.674
0.326 -2.363 -0.172
2.644 -2.862 2.378
3.097 -4.521 4.000
-2.680 -3.483 4.217
6.597 -5.121 1.284
-4.512 -6.261 4.960
0.820 -4.083 1.502
```

=====

# 7
Density functional theory data (r²SCAN) for K3SbS3 after structural relaxation.

## Properties
As for the uncorrected energy: -10.846 eV/atom. The energy of formation comes out at -111 kJ per mole of atoms. Its space group is No. 198.

The structure in POSCAR format:
```
K3SbS3
1.0
-5.289 -1.595 7.719
7.747 -2.766 4.737
1.453 8.939 2.843
K S Sb
12 12 4
Cartesian
-0.438 7.485 6.324
-1.740 1.317 6.984
1.811 6.292 9.079
2.210 2.587 8.644
0.235 0.275 0.920
2.549 4.877 4.821
3.219 3.768 12.589
7.532 1.199 6.167
5.769 1.706 9.440
3.795 -0.804 6.203
0.008 0.884 11.159
-1.481 -2.113 9.463
0.033 4.290 7.130
4.518 2.571 6.498
1.408 -1.076 3.707
0.213 4.023 10.886
2.301 2.364 2.449
0.946 -2.277 11.466
1.043 -0.313 8.249
-1.221 1.623 3.571
7.789 3.825 7.890
3.310 0.638 11.107
4.543 4.781 9.552
-1.412 7.025 9.285
1.091 1.277 4.266
5.549 4.615 7.337
-1.358 4.593 9.110
2.541 -1.327 9.885
```

=====

# 8
Density functional theory data (r²SCAN) for CdPd3 after structural relaxation.

## Properties
As for the uncorrected energy: -22.502 eV/atom. The energy of formation comes out at -25 kJ per mole of atoms. Its space group is No. 221.

The structure in POSCAR format:
```
CdPd3
1.0
3.997 0.000 0.000
0.000 3.997 0.000
0.000 0.000 3.997
Cd Pd
1 3
Cartesian
0.000 0.000 0.000
0.000 1.998 1.998
1.998 1.998 0.000
1.998 0.000 1.998
```

=====

Computed density, in the same sequence as the records: 2.3 3.5 4.3 3.9 5.1 3.7 2.6 11.2 g cm⁻³.